VASP calculation (PBE) on crystalline B3Pb6BrO10 at its relaxed geometry.

Properties
The total DFT energy (no corrections) is -6.34 eV per atom. As for the total magnetization: 0.0 μB per cell.

a b c (Å): 7.3021 11.1477 17.6016
angles (deg): 90.00 90.00 90.00
Closest atoms and distances in Å follow each position.
Fractional positions:
Pb  0.0792  0.2500  0.4750  3 O 2.32-2.35
Pb  0.9208  0.2500  0.9750  3 O 2.32-2.35
Pb  0.9660  0.9212  0.8415  3 O 2.30-2.37
Pb  0.0340  0.9212  0.3415  3 O 2.30-2.37
Pb  0.4760  0.4367  0.8453  3 O 2.31-2.39
Pb  0.4760  0.9367  0.6547  3 O 2.31-2.39
Pb  0.9660  0.5788  0.8415  3 O 2.30-2.37
Pb  0.0340  0.4212  0.1585  3 O 2.30-2.37
Pb  0.5240  0.0633  0.3453  3 O 2.31-2.39
Pb  0.0792  0.7500  0.0250  3 O 2.32-2.35
Pb  0.4093  0.7500  0.4370  3 O 2.38-2.39
Pb  0.9208  0.7500  0.5250  3 O 2.32-2.35
Pb  0.5240  0.5633  0.1547  3 O 2.31-2.39
Pb  0.5240  0.9367  0.1547  3 O 2.31-2.39
Pb  0.4760  0.5633  0.6547  3 O 2.31-2.39
Pb  0.5240  0.4367  0.3453  3 O 2.31-2.39
Pb  0.4760  0.0633  0.8453  3 O 2.31-2.39
Pb  0.0340  0.5788  0.3415  3 O 2.30-2.37
Pb  0.5907  0.7500  0.9370  3 O 2.38-2.39
Pb  0.9660  0.4212  0.6585  3 O 2.30-2.37
Pb  0.5907  0.2500  0.5630  3 O 2.38-2.39
Pb  0.9660  0.0788  0.6585  3 O 2.30-2.37
Pb  0.4093  0.2500  0.0630  3 O 2.38-2.39
Pb  0.0340  0.0788  0.1585  3 O 2.30-2.37
Br  0.1823  0.7500  0.7278  4 Pb 3.18-3.25, 1 O 3.39, 1 B 3.54
Br  0.8177  0.2500  0.2722  4 Pb 3.18-3.25, 1 O 3.39, 1 B 3.54
Br  0.8177  0.7500  0.2278  4 Pb 3.18-3.25, 1 O 3.39, 1 B 3.54
Br  0.1823  0.2500  0.7722  4 Pb 3.18-3.25, 1 O 3.39, 1 B 3.54
O  0.2311  0.5979  0.9602  1 B 1.38
O  0.3436  0.1055  0.9668  1 B 1.39
O  0.7274  0.5012  0.9184  1 B 1.40
O  0.3877  0.2500  0.3442  1 B 1.43
O  0.2726  0.4988  0.0816  1 B 1.40
O  0.2742  0.3607  0.2385  1 B 1.37
O  0.0890  0.2500  0.0891  4 Pb 2.30-2.38
O  0.7274  0.0012  0.5816  1 B 1.40
O  0.7689  0.4021  0.0398  1 B 1.38
O  0.7258  0.6393  0.7615  1 B 1.37
O  0.6123  0.2500  0.8442  1 B 1.43
O  0.2311  0.4021  0.5398  1 B 1.38
O  0.6564  0.3945  0.4668  1 B 1.39
O  0.3877  0.7500  0.1558  1 B 1.43
O  0.6564  0.1055  0.4668  1 B 1.39
O  0.6564  0.6055  0.0332  1 B 1.39
O  0.2742  0.8607  0.2615  1 B 1.37
O  0.6564  0.8945  0.0332  1 B 1.39
O  0.6123  0.7500  0.6558  1 B 1.43
O  0.7274  0.9988  0.9184  1 B 1.40
O  0.9110  0.2500  0.5891  4 Pb 2.30-2.38
O  0.3436  0.6055  0.5332  1 B 1.39
O  0.7689  0.0979  0.0398  1 B 1.38
O  0.7274  0.4988  0.5816  1 B 1.40
O  0.2726  0.9988  0.4184  1 B 1.40
O  0.7258  0.3607  0.7385  1 B 1.37
O  0.3436  0.3945  0.9668  1 B 1.39
O  0.9110  0.7500  0.9109  4 Pb 2.30-2.38
O  0.0890  0.7500  0.4109  4 Pb 2.30-2.38
O  0.7689  0.9021  0.4602  1 B 1.38
O  0.2726  0.5012  0.4184  1 B 1.40
O  0.2742  0.1393  0.2385  1 B 1.37
O  0.2311  0.9021  0.9602  1 B 1.38
O  0.2742  0.6393  0.2615  1 B 1.37
O  0.7258  0.1393  0.7385  1 B 1.37
O  0.2726  0.0012  0.0816  1 B 1.40
O  0.7258  0.8607  0.7615  1 B 1.37
O  0.7689  0.5979  0.4602  1 B 1.38
O  0.2311  0.0979  0.5398  1 B 1.38
O  0.3436  0.8945  0.5332  1 B 1.39
B  0.2820  0.4991  0.0020  3 O 1.38-1.40
B  0.2820  0.0009  0.0020  3 O 1.38-1.40
B  0.3030  0.7500  0.2294  3 O 1.37-1.43
B  0.2820  0.5009  0.4980  3 O 1.38-1.40
B  0.7180  0.5009  0.9980  3 O 1.38-1.40
B  0.3030  0.2500  0.2706  3 O 1.37-1.43
B  0.7180  0.0009  0.5020  3 O 1.38-1.40
B  0.6970  0.7500  0.7294  3 O 1.37-1.43
B  0.2820  0.9991  0.4980  3 O 1.38-1.40
B  0.6970  0.2500  0.7706  3 O 1.37-1.43
B  0.7180  0.9991  0.9980  3 O 1.38-1.40
B  0.7180  0.4991  0.5020  3 O 1.38-1.40